No. 1
Here is a relaxed structure of CsNiF3 from the Materials Project database. Energies are from r2SCAN.

abc: 6.2009 6.2009 5.1900
angles: 90.00 90.00 120.00
With the nearest neighbours (Å) after each atom.
Space group P6_3/mmc (No. 194)
Symmetry-distinct sites (fractional):
1 Cs 0.3333 0.6667 0.2500  12 F 3.11-3.30
2 Ni 0.0000 0.0000 0.0000  6 F 2.01
3 F 0.1432 0.2864 0.7500  2 Ni 2.01

Results
The electronic total energy is -11.8589 eV per atom. The size of the total moment comes out at 2.00 μB per formula unit. The calculation puts the formation energy at -2.57 eV per atom.


No. 2
Here is a relaxed structure of GaRu from the Materials Project database. Energies are from r2SCAN.

abc: 3.0014 3.0014 3.0014
angles: 90.00 90.00 90.00
With the nearest neighbours (Å) after each atom.
Space group Pm-3m (No. 221)
Symmetry-distinct sites (fractional):
1 Ga 0.0000 0.0000 0.0000  8 Ru 2.60
2 Ru 0.5000 0.5000 0.5000  8 Ga 2.60

Results
The electronic total energy is -18.7658 eV per atom. The size of the total moment comes out at 0.00 μB per formula unit. The calculation puts the formation energy at -0.33 eV per atom.


No. 3
Here is a relaxed structure of Cs3Fe2S4 from the Materials Project database. Energies are from r2SCAN.

abc: 7.6309 11.2529 13.0481
angles: 90.00 90.00 90.00
With the nearest neighbours (Å) after each atom.
Space group Pnma (No. 62)
Symmetry-distinct sites (fractional):
1 Cs 0.0116 0.2500 0.0531  7 S 3.56-3.90, 2 Cs 3.88, 2 Fe 3.94
2 Cs 0.1083 0.0291 0.7876  6 S 3.41-3.81
3 Fe 0.0081 0.6327 0.5068  4 S 2.31-2.36
4 S 0.0456 0.2500 0.3513  2 Fe 2.31
5 S 0.0999 0.7500 0.3718  2 Fe 2.31
6 S 0.2273 0.0117 0.5365  2 Fe 2.32-2.36

Results
The electronic total energy is -16.2174 eV per atom. The size of the total moment comes out at 9.00 μB per formula unit. The calculation puts the formation energy at -1.07 eV per atom.


No. 4
Here is a relaxed structure of KPr3Te8 from the Materials Project database. Energies are from r2SCAN.

abc: 14.2642 13.0415 9.0577
angles: 90.00 99.16 90.00
With the nearest neighbours (Å) after each atom.
Space group P2_1/c (No. 14)
Symmetry-distinct sites (fractional):
1 K 0.0341 0.0922 0.2580  8 Te 3.62-3.79
2 Pr 0.3455 0.7492 0.0868  9 Te 3.26-3.47
3 Pr 0.3496 0.0849 0.0803  8 Te 3.24-3.36
4 Pr 0.3513 0.0839 0.5948  8 Te 3.25-3.37
5 Te 0.1605 0.7229 0.7899  2 Te 2.86
6 Te 0.1676 0.5794 0.0304  1 Te 2.86
7 Te 0.1675 0.5805 0.5524  1 Te 2.86
8 Te 0.1703 0.0970 0.7914  4 Te 3.01-3.31, 2 Pr 3.36-3.37
9 Te 0.1725 0.2493 0.5425  2 Te 3.01-3.03, 2 Pr 3.30-3.32
10 Te 0.4126 0.5800 0.8507  5 Pr 3.28-3.32
11 Te 0.4138 0.5856 0.3558  5 Pr 3.24-3.33
12 Te 0.4181 0.2455 0.3544  5 Pr 3.27-3.33

Results
The electronic total energy is -26.1422 eV per atom. The size of the total moment comes out at 0.00 μB per formula unit. The calculation puts the formation energy at -1.34 eV per atom.


No. 5
Here is a relaxed structure of BaPb from the Materials Project database. Energies are from r2SCAN.

abc: 5.3880 12.7882 4.8947
angles: 90.00 90.00 90.00
With the nearest neighbours (Å) after each atom.
Space group Cmcm (No. 63)
Symmetry-distinct sites (fractional):
1 Ba 0.0000 0.1330 0.2500  7 Pb 3.71-3.80
2 Pb 0.0000 0.4230 0.2500  2 Pb 3.14

Results
The electronic total energy is -42.1319 eV per atom. The size of the total moment comes out at 0.00 μB per formula unit. The calculation puts the formation energy at -0.74 eV per atom.


No. 6
Here is a relaxed structure of Tm2ZnPt from the Materials Project database. Energies are from r2SCAN.

abc: 6.9014 6.9014 6.9014
angles: 90.00 90.00 90.00
With the nearest neighbours (Å) after each atom.
Space group Fm-3m (No. 225)
Symmetry-distinct sites (fractional):
1 Tm 0.2500 0.2500 0.2500  4 Pt 2.99, 4 Zn 2.99
2 Zn 0.0000 0.0000 0.0000  8 Tm 2.99
3 Pt 0.0000 0.0000 0.5000  8 Tm 2.99

Results
The electronic total energy is -33.5824 eV per atom. The size of the total moment comes out at 0.00 μB per formula unit. The calculation puts the formation energy at -0.92 eV per atom.


No. 7
Here is a relaxed structure of PaBi3 from the Materials Project database. Energies are from r2SCAN.

abc: 6.7012 6.7012 6.0781
angles: 90.00 90.00 120.00
With the nearest neighbours (Å) after each atom.
Space group P6_3/mmc (No. 194)
Symmetry-distinct sites (fractional):
1 Pa 0.3333 0.6667 0.2500  12 Bi 3.35-3.57
2 Bi 0.1726 0.3453 0.7500  4 Bi 3.23-3.47, 4 Pa 3.35-3.57

Results
The electronic total energy is -63.1995 eV per atom. The size of the total moment comes out at 0.98 μB per formula unit. The calculation puts the formation energy at -0.11 eV per atom.


No. 8
Here is a relaxed structure of BaZn2Sn2 from the Materials Project database. Energies are from r2SCAN.

abc: 4.7821 4.7821 11.2741
angles: 90.00 90.00 90.00
With the nearest neighbours (Å) after each atom.
Space group P4/nmm (No. 129, origin choice 2)
Symmetry-distinct sites (fractional):
1 Ba 0.2500 0.2500 0.2411  8 Zn 3.62-3.66, 8 Sn 3.62-3.77
2 Zn 0.2500 0.2500 0.6349  5 Sn 2.69-2.83
3 Zn 0.2500 0.7500 0.0000  4 Sn 2.78
4 Sn 0.2500 0.2500 0.8739  5 Zn 2.69-2.78
5 Sn 0.2500 0.7500 0.5000  4 Zn 2.83

Results
The electronic total energy is -19.2060 eV per atom. The size of the total moment comes out at 0.00 μB per formula unit. The calculation puts the formation energy at -0.44 eV per atom.


No. 9
Here is a relaxed structure of NaFeBr4 from the Materials Project database. Energies are from r2SCAN.

abc: 13.7592 7.5392 7.4782
angles: 90.00 90.00 90.00
With the nearest neighbours (Å) after each atom.
Space group Pnma (No. 62)
Symmetry-distinct sites (fractional):
1 Na 0.1543 0.2500 0.0468  6 Br 2.97-3.09
2 Fe 0.1016 0.7500 0.8000  4 Br 2.33-2.36
3 Br 0.0367 0.2500 0.3790  1 Fe 2.33
4 Br 0.0517 0.7500 0.0996  1 Fe 2.34
5 Br 0.2005 0.5016 0.7381  1 Fe 2.36

Results
The electronic total energy is -12.9252 eV per atom. The size of the total moment comes out at 5.00 μB per formula unit. The calculation puts the formation energy at -1.09 eV per atom.


No. 10
Here is a relaxed structure of La3InFeS7 from the Materials Project database. Energies are from r2SCAN.

abc: 10.1143 10.1143 6.4291
angles: 90.00 90.00 120.00
With the nearest neighbours (Å) after each atom.
Space group P6_3 (No. 173)
Symmetry-distinct sites (fractional):
1 La 0.1544 0.3746 0.0000  7 S 2.87-3.14
2 In 0.3333 0.6667 0.4295  4 S 2.41-2.46
3 Fe 0.0000 0.0000 0.3140  6 S 2.47-2.64
4 S 0.0813 0.5646 0.2636  1 In 2.46
5 S 0.0962 0.2252 0.5854  2 Fe 2.47-2.64
6 S 0.3333 0.6667 0.8042  1 In 2.41

Results
The electronic total energy is -17.0022 eV per atom. The size of the total moment comes out at 4.00 μB per formula unit. The calculation puts the formation energy at -1.80 eV per atom.


No. 11
Here is a relaxed structure of Sr2TlPb from the Materials Project database. Energies are from r2SCAN.

abc: 8.1781 8.1781 8.1781
angles: 90.00 90.00 90.00
With the nearest neighbours (Å) after each atom.
Space group Fm-3m (No. 225)
Symmetry-distinct sites (fractional):
1 Sr 0.2500 0.2500 0.2500  4 Tl 3.54, 4 Pb 3.54
2 Tl 0.0000 0.0000 0.0000  8 Sr 3.54
3 Pb 0.0000 0.0000 0.5000  8 Sr 3.54

Results
The electronic total energy is -35.5193 eV per atom. The size of the total moment comes out at 0.00 μB per formula unit. The calculation puts the formation energy at -0.58 eV per atom.


No. 12
Here is a relaxed structure of Cu3Pt from the Materials Project database. Energies are from r2SCAN.

abc: 3.6831 3.6831 3.6831
angles: 90.00 90.00 90.00
With the nearest neighbours (Å) after each atom.
Space group Pm-3m (No. 221)
Symmetry-distinct sites (fractional):
1 Cu 0.0000 0.0000 0.5000  4 Pt 2.60, 8 Cu 2.60
2 Pt 0.5000 0.5000 0.5000  12 Cu 2.60

Results
The electronic total energy is -21.1674 eV per atom. The size of the total moment comes out at 0.00 μB per formula unit. The calculation puts the formation energy at -0.16 eV per atom.


No. 13
Here is a relaxed structure of CaH16O10 from the Materials Project database. Energies are from r2SCAN.

abc: 6.1227 6.1255 10.7372
angles: 89.35 89.28 89.90
With the nearest neighbours (Å) after each atom.
Space group P1 (No. 1)
Symmetry-distinct sites (fractional):
1 Ca 0.0000 0.0000 0.0000  8 O 2.47-2.49
2 Ca 0.0024 0.9927 0.5000  8 O 2.47-2.49
3 H 0.0255 0.4392 0.6164  1 O 0.99
4 H 0.0266 0.5529 0.1174  1 O 0.99
5 H 0.1310 0.6945 0.2854  1 O 0.99
6 H 0.1323 0.3000 0.7846  1 O 0.99
7 H 0.2720 0.3730 0.6020  1 O 1.01
8 H 0.2736 0.6160 0.1020  1 O 1.01
9 H 0.2773 0.6136 0.3980  1 O 1.01
10 H 0.2810 0.3821 0.8953  1 O 1.01
11 H 0.3005 0.8680 0.7168  1 O 0.99
12 H 0.3040 0.1265 0.2843  1 O 0.99
13 H 0.3781 0.2695 0.1007  1 O 1.01
14 H 0.3789 0.7200 0.6043  1 O 1.01
15 H 0.3850 0.2709 0.3970  1 O 1.01
16 H 0.3848 0.7259 0.8981  1 O 1.01
17 H 0.4446 0.0232 0.1157  1 O 0.99
18 H 0.4478 0.9732 0.8833  1 O 0.99
19 H 0.5547 0.0219 0.6159  1 O 0.99
20 H 0.5582 0.9664 0.3830  1 O 0.99
21 H 0.6171 0.7189 0.1024  1 O 1.01
22 H 0.6184 0.2691 0.6017  1 O 1.01
23 H 0.6244 0.2752 0.8948  1 O 1.01
24 H 0.6249 0.7203 0.3983  1 O 1.01
25 H 0.6987 0.8641 0.2144  1 O 0.99
26 H 0.7029 0.1269 0.7824  1 O 0.99
27 H 0.7219 0.6131 0.6051  1 O 1.01
28 H 0.7242 0.3762 0.1030  1 O 1.01
29 H 0.7278 0.3744 0.3989  1 O 1.01
30 H 0.7309 0.6215 0.8987  1 O 1.01
31 H 0.8701 0.2958 0.2159  1 O 0.99
32 H 0.8700 0.6947 0.7163  1 O 0.99
33 H 0.9748 0.4383 0.3836  1 O 0.99
34 H 0.9774 0.5550 0.8841  1 O 0.99
35 O 0.1235 0.3108 0.6228  2 H 0.99-1.01
36 O 0.1262 0.6792 0.1241  2 H 0.99-1.01
37 O 0.1299 0.6763 0.3772  2 H 0.99-1.01
38 O 0.1336 0.3192 0.8760  2 H 0.99-1.01
39 O 0.3163 0.1215 0.1227  2 H 0.99-1.01
40 O 0.3162 0.8673 0.6249  2 H 0.99-1.01
41 O 0.3212 0.8737 0.8773  2 H 0.99-1.01
42 O 0.3223 0.1244 0.3758  2 H 0.99-1.01
43 O 0.4983 0.4928 0.5703  1 O 1.48, 4 H 1.59-1.61
44 O 0.4980 0.4954 0.0680  1 O 1.48, 4 H 1.60-1.61
45 O 0.5039 0.4955 0.4322  1 O 1.48, 4 H 1.60-1.61
46 O 0.5045 0.5016 0.9299  1 O 1.48, 4 H 1.59-1.61
47 O 0.6799 0.8658 0.1230  2 H 0.99-1.01
48 O 0.6818 0.1208 0.6219  2 H 0.99-1.01
49 O 0.6871 0.1278 0.8743  2 H 0.99-1.01
50 O 0.6867 0.8685 0.3764  2 H 0.99-1.01
51 O 0.8691 0.6758 0.6249  2 H 0.99-1.01
52 O 0.8714 0.3135 0.1241  2 H 0.99-1.01
53 O 0.8754 0.3117 0.3767  2 H 0.99-1.01
54 O 0.8794 0.6835 0.8776  2 H 0.99-1.01

Results
The electronic total energy is -5.7006 eV per atom. The size of the total moment comes out at 0.00 μB per formula unit. The calculation puts the formation energy at -1.18 eV per atom.


No. 14
Here is a relaxed structure of Pr3ReO8 from the Materials Project database. Energies are from r2SCAN.

abc: 7.5031 6.2095 15.0202
angles: 90.00 110.52 90.00
With the nearest neighbours (Å) after each atom.
Space group P2_1/c (No. 14)
Symmetry-distinct sites (fractional):
1 Pr 0.0984 0.2385 0.2004  6 O 2.39-2.67
2 Pr 0.1618 0.2031 0.4466  5 O 2.29-2.51
3 Pr 0.3966 0.6875 0.3342  5 O 2.34-2.50
4 Re 0.3204 0.7449 0.0911  6 O 1.82-1.95
5 O 0.0960 0.7001 0.9841  1 Re 1.90
6 O 0.1455 0.0292 0.8393  4 Pr 2.29-2.46
7 O 0.1711 0.6557 0.1681  1 Re 1.95
8 O 0.1837 0.5291 0.8269  4 Pr 2.35-2.47
9 O 0.2528 0.0392 0.0956  1 Re 1.90
10 O 0.3745 0.0469 0.5904  1 Re 1.86
11 O 0.4728 0.7000 0.5222  1 Re 1.82
12 O 0.4747 0.2050 0.7916  1 Re 1.91

Results
The electronic total energy is -18.7176 eV per atom. The size of the total moment comes out at 0.00 μB per formula unit. The calculation puts the formation energy at -3.02 eV per atom.


No. 15
Here is a relaxed structure of DyCoSn from the Materials Project database. Energies are from r2SCAN.

abc: 7.3420 4.5692 7.5265
angles: 90.00 90.00 90.00
With the nearest neighbours (Å) after each atom.
Space group Pnma (No. 62)
Symmetry-distinct sites (fractional):
1 Dy 0.0186 0.2500 0.2145  4 Co 2.95-3.19, 6 Sn 3.15-3.27
2 Co 0.1566 0.7500 0.4329  4 Sn 2.64-2.71, 1 Dy 2.95
3 Sn 0.2115 0.2500 0.5997  4 Co 2.64-2.71

Results
The electronic total energy is -23.8171 eV per atom. The size of the total moment comes out at 1.39 μB per formula unit. The calculation puts the formation energy at -0.50 eV per atom.


No. 16
Here is a relaxed structure of NiSbS from the Materials Project database. Energies are from r2SCAN.

abc: 5.9287 5.9287 5.9287
angles: 90.00 90.00 90.00
With the nearest neighbours (Å) after each atom.
Space group P2_13 (No. 198)
Symmetry-distinct sites (fractional):
1 Ni 0.0165 0.0165 0.0165  3 S 2.38, 3 Sb 2.55
2 Sb 0.1278 0.6278 0.8722  1 S 2.54, 3 Ni 2.55
3 S 0.1192 0.8808 0.3808  3 Ni 2.38, 1 Sb 2.54

Results
The electronic total energy is -15.5822 eV per atom. The size of the total moment comes out at 0.00 μB per formula unit. The calculation puts the formation energy at -0.34 eV per atom.